Density functional theory data (r²SCAN) for crystalline Cd2Te2O7 at its relaxed geometry.

Properties
ΔH_f (0 K) in meV/atom: -1252
Volume in Å³ per cell: 595.9

a = 7.4361 Å, b = 8.3568 Å, c = 10.0198 Å
α = 87.01°, β = 78.91°, γ = 77.22°
Last column: nearest neighbours and their distance in Å.
Atoms (fractional coordinates):
1 Cd 0.0000 0.0000 0.0000  6 O 2.16-2.41
2 Cd 0.1900 0.3474 0.8917  5 O 2.22-2.37
3 Cd 0.2562 0.4907 0.4924  6 O 2.23-2.42
4 Cd 0.3085 0.6249 0.1134  7 O 2.34-2.55
5 Cd 0.5000 0.0000 0.0000  6 O 2.26-2.27
6 Cd 0.6915 0.3751 0.8866  7 O 2.34-2.55
7 Cd 0.7438 0.5093 0.5076  6 O 2.23-2.42
8 Cd 0.8100 0.6526 0.1083  5 O 2.22-2.37
9 Te 0.0426 0.1658 0.6456  3 O 1.89-1.91
10 Te 0.1205 0.2680 0.2343  6 O 1.88-2.03
11 Te 0.3759 0.7249 0.7725  6 O 1.87-2.06
12 Te 0.4404 0.8969 0.3497  3 O 1.86-1.94
13 Te 0.5596 0.1031 0.6503  3 O 1.86-1.94
14 Te 0.6241 0.2751 0.2275  6 O 1.87-2.06
15 Te 0.8795 0.7320 0.7657  6 O 1.88-2.03
16 Te 0.9574 0.8342 0.3544  3 O 1.89-1.91
17 O 0.0034 0.8211 0.1630  1 Te 1.89
18 O 0.0438 0.3532 0.4110  1 Te 1.88
19 O 0.0629 0.4634 0.1341  1 Te 1.88
20 O 0.1142 0.8040 0.7553  2 Te 1.95
21 O 0.1993 0.6931 0.3428  1 Te 1.91
22 O 0.2056 0.1534 0.0675  1 Te 1.90
23 O 0.2120 0.0501 0.3251  2 Te 1.94-2.03
24 O 0.2321 0.2879 0.6441  1 Te 1.91
25 O 0.3176 0.8459 0.9346  1 Te 1.89
26 O 0.3593 0.3300 0.2237  2 Te 1.93-1.94
27 O 0.3678 0.5333 0.8870  1 Te 1.93
28 O 0.4111 0.9379 0.6676  2 Te 1.93-2.06
29 O 0.4299 0.6142 0.6075  1 Te 1.87
30 O 0.4962 0.1839 0.8263  1 Te 1.86
31 O 0.5038 0.8161 0.1737  1 Te 1.86
32 O 0.5701 0.3858 0.3925  1 Te 1.87
33 O 0.5889 0.0621 0.3324  2 Te 1.93-2.06
34 O 0.6322 0.4667 0.1130  1 Te 1.93
35 O 0.6407 0.6700 0.7763  2 Te 1.93-1.94
36 O 0.6824 0.1541 0.0654  1 Te 1.89
37 O 0.7679 0.7121 0.3559  1 Te 1.91
38 O 0.7880 0.9499 0.6749  2 Te 1.94-2.03
39 O 0.7944 0.8466 0.9325  1 Te 1.90
40 O 0.8007 0.3069 0.6572  1 Te 1.91
41 O 0.8858 0.1960 0.2447  2 Te 1.95
42 O 0.9371 0.5366 0.8659  1 Te 1.88
43 O 0.9562 0.6468 0.5890  1 Te 1.88
44 O 0.9966 0.1789 0.8370  1 Te 1.89

---

Density functional theory data (r²SCAN) for crystalline V2Cd4Te3O15 at its relaxed geometry.

Properties
ΔH_f (0 K) in meV/atom: -1654
Volume in Å³ per cell: 1415.7

a = 5.4060 Å, b = 16.1111 Å, c = 16.2541 Å
α = 90.00°, β = 90.00°, γ = 90.00°
Last column: nearest neighbours and their distance in Å.
Atoms (fractional coordinates):
1 V 0.0344 0.1784 0.1669  4 O 1.70-1.83
2 V 0.0610 0.6867 0.9996  4 O 1.66-1.81
3 V 0.4390 0.3133 0.4996  4 O 1.66-1.81
4 V 0.4656 0.8216 0.6669  4 O 1.70-1.83
5 V 0.5344 0.3216 0.8331  4 O 1.70-1.83
6 V 0.5610 0.8133 0.0004  4 O 1.66-1.81
7 V 0.9390 0.1867 0.5004  4 O 1.66-1.81
8 V 0.9656 0.6784 0.3331  4 O 1.70-1.83
9 Cd 0.0027 0.4881 0.1630  5 O 2.28-2.49
10 Cd 0.0100 0.1640 0.8372  6 O 2.20-2.46
11 Cd 0.0703 0.0135 0.0039  6 O 2.19-2.45
12 Cd 0.0809 0.5182 0.8358  6 O 2.17-2.42
13 Cd 0.4191 0.4818 0.3358  6 O 2.17-2.42
14 Cd 0.4297 0.9865 0.5039  6 O 2.19-2.45
15 Cd 0.4900 0.8360 0.3372  6 O 2.20-2.46
16 Cd 0.4973 0.5119 0.6630  5 O 2.28-2.49
17 Cd 0.5027 0.0119 0.8370  5 O 2.28-2.49
18 Cd 0.5100 0.3360 0.1628  6 O 2.20-2.46
19 Cd 0.5703 0.4865 0.9961  6 O 2.19-2.45
20 Cd 0.5809 0.9818 0.1642  6 O 2.17-2.42
21 Cd 0.9191 0.0182 0.6642  6 O 2.17-2.42
22 Cd 0.9297 0.5135 0.4961  6 O 2.19-2.45
23 Cd 0.9900 0.6640 0.6628  6 O 2.20-2.46
24 Cd 0.9973 0.9881 0.3370  5 O 2.28-2.49
25 Te 0.0208 0.8656 0.8244  3 O 1.86-1.96
26 Te 0.0523 0.3592 0.0008  3 O 1.87-1.91
27 Te 0.0516 0.8530 0.1780  3 O 1.87-1.90
28 Te 0.4484 0.1470 0.6780  3 O 1.87-1.90
29 Te 0.4477 0.6408 0.5008  3 O 1.87-1.91
30 Te 0.4792 0.1344 0.3244  3 O 1.86-1.96
31 Te 0.5208 0.6344 0.1756  3 O 1.86-1.96
32 Te 0.5523 0.1408 0.9992  3 O 1.87-1.91
33 Te 0.5516 0.6470 0.8220  3 O 1.87-1.90
34 Te 0.9484 0.3530 0.3220  3 O 1.87-1.90
35 Te 0.9477 0.8592 0.4992  3 O 1.87-1.91
36 Te 0.9792 0.3656 0.6756  3 O 1.86-1.96
37 O 0.0528 0.1324 0.5784  1 V 1.66
38 O 0.0597 0.4344 0.3954  1 Te 1.87
39 O 0.0735 0.9454 0.5643  1 Te 1.87
40 O 0.1024 0.6170 0.4047  1 V 1.70
41 O 0.1864 0.6269 0.0725  1 V 1.67
42 O 0.1878 0.9379 0.8942  1 Te 1.86
43 O 0.1890 0.4408 0.7272  1 Te 1.86
44 O 0.1899 0.7397 0.2905  1 V 1.71
45 O 0.1970 0.2467 0.4611  2 V 1.80-1.81
46 O 0.2073 0.8819 0.4237  1 Te 1.90
47 O 0.2103 0.1213 0.2449  1 V 1.83, 1 Te 1.96
48 O 0.2147 0.3783 0.2518  1 Te 1.88
49 O 0.2342 0.0792 0.7415  1 Te 1.90
50 O 0.2348 0.5764 0.5692  1 Te 1.91
51 O 0.2426 0.2393 0.1172  1 V 1.70
52 O 0.2574 0.7607 0.6172  1 V 1.70
53 O 0.2652 0.4236 0.0692  1 Te 1.91
54 O 0.2658 0.9208 0.2415  1 Te 1.90
55 O 0.2853 0.6217 0.7518  1 Te 1.88
56 O 0.2897 0.8787 0.7449  1 V 1.83, 1 Te 1.96
57 O 0.2927 0.1181 0.9237  1 Te 1.90
58 O 0.3030 0.7533 0.9611  2 V 1.80-1.81
59 O 0.3101 0.2603 0.7905  1 V 1.71
60 O 0.3110 0.5592 0.2272  1 Te 1.86
61 O 0.3122 0.0621 0.3942  1 Te 1.86
62 O 0.3136 0.3731 0.5725  1 V 1.67
63 O 0.3976 0.3830 0.9047  1 V 1.70
64 O 0.4265 0.0546 0.0643  1 Te 1.87
65 O 0.4403 0.5656 0.8954  1 Te 1.87
66 O 0.4472 0.8676 0.0784  1 V 1.66
67 O 0.5528 0.3676 0.4216  1 V 1.66
68 O 0.5597 0.0656 0.6046  1 Te 1.87
69 O 0.5735 0.5546 0.4357  1 Te 1.87
70 O 0.6024 0.8830 0.5953  1 V 1.70
71 O 0.6864 0.8731 0.9275  1 V 1.67
72 O 0.6878 0.5621 0.1058  1 Te 1.86
73 O 0.6890 0.0592 0.2728  1 Te 1.86
74 O 0.6899 0.7603 0.7095  1 V 1.71
75 O 0.6970 0.2533 0.5389  2 V 1.80-1.81
76 O 0.7073 0.6181 0.5763  1 Te 1.90
77 O 0.7103 0.3787 0.7551  1 V 1.83, 1 Te 1.96
78 O 0.7147 0.1217 0.7482  1 Te 1.88
79 O 0.7342 0.4208 0.2585  1 Te 1.90
80 O 0.7348 0.9236 0.4308  1 Te 1.91
81 O 0.7426 0.2607 0.8828  1 V 1.70
82 O 0.7574 0.7393 0.3828  1 V 1.70
83 O 0.7652 0.0764 0.9308  1 Te 1.91
84 O 0.7658 0.5792 0.7585  1 Te 1.90
85 O 0.7853 0.8783 0.2482  1 Te 1.88
86 O 0.7897 0.6213 0.2551  1 V 1.83, 1 Te 1.96
87 O 0.7927 0.3819 0.0763  1 Te 1.90
88 O 0.8030 0.7467 0.0389  2 V 1.80-1.81
89 O 0.8101 0.2397 0.2095  1 V 1.71
90 O 0.8110 0.9408 0.7728  1 Te 1.86
91 O 0.8122 0.4379 0.6058  1 Te 1.86
92 O 0.8136 0.1269 0.4275  1 V 1.67
93 O 0.8976 0.1170 0.0953  1 V 1.70
94 O 0.9265 0.4454 0.9357  1 Te 1.87
95 O 0.9403 0.9344 0.1046  1 Te 1.87
96 O 0.9472 0.6324 0.9216  1 V 1.66

---

Density functional theory data (r²SCAN) for crystalline UCd3O6 at its relaxed geometry.

Properties
ΔH_f (0 K) in meV/atom: -2105
Volume in Å³ per cell: 272.7

a = 5.6506 Å, b = 5.7896 Å, c = 10.0279 Å
α = 90.00°, β = 123.79°, γ = 90.00°
Last column: nearest neighbours and their distance in Å.
Atoms (fractional coordinates):
1 U 0.0000 0.0000 0.0000  6 O 2.06-2.16
2 U 0.0000 0.5000 0.5000  6 O 2.06-2.16
3 Cd 0.2519 0.0449 0.7539  4 O 2.23-2.28
4 Cd 0.2519 0.4551 0.2539  4 O 2.23-2.28
5 Cd 0.5000 0.0000 0.5000  6 O 2.25-2.34
6 Cd 0.5000 0.5000 0.0000  6 O 2.25-2.34
7 Cd 0.7481 0.5449 0.7461  4 O 2.23-2.28
8 Cd 0.7481 0.9551 0.2461  4 O 2.23-2.28
9 O 0.0830 0.1989 0.4233  1 U 2.06, 1 Cd 2.23
10 O 0.0830 0.3011 0.9233  1 U 2.06, 1 Cd 2.23
11 O 0.2510 0.6704 0.4424  1 U 2.06, 2 Cd 2.25-2.27
12 O 0.2510 0.8296 0.9424  1 U 2.06, 2 Cd 2.25-2.27
13 O 0.3590 0.0830 0.2375  1 U 2.16, 3 Cd 2.27-2.34
14 O 0.3590 0.4170 0.7375  1 U 2.16, 3 Cd 2.27-2.34
15 O 0.6410 0.5830 0.2625  1 U 2.16, 3 Cd 2.27-2.34
16 O 0.6410 0.9170 0.7625  1 U 2.16, 3 Cd 2.27-2.34
17 O 0.7490 0.1704 0.0576  1 U 2.06, 2 Cd 2.25-2.27
18 O 0.7490 0.3296 0.5576  1 U 2.06, 2 Cd 2.25-2.27
19 O 0.9170 0.6989 0.0767  1 U 2.06, 1 Cd 2.23
20 O 0.9170 0.8011 0.5767  1 U 2.06, 1 Cd 2.23

---

Density functional theory data (r²SCAN) for crystalline V2CdO4 at its relaxed geometry.

Properties
ΔH_f (0 K) in meV/atom: -2251
Volume in Å³ per cell: 165.0

a = 6.1035 Å, b = 6.1035 Å, c = 6.1035 Å
α = 118.15°, β = 118.15°, γ = 93.24°
Last column: nearest neighbours and their distance in Å.
Atoms (fractional coordinates):
1 V 0.0000 0.0000 0.0000  6 O 2.01-2.09
2 V 0.5000 0.0000 0.0000  6 O 2.01-2.09
3 V 0.5000 0.0000 0.5000  6 O 2.01-2.09
4 V 0.5000 0.5000 0.5000  6 O 2.01-2.09
5 Cd 0.1250 0.3750 0.7500  4 O 2.15
6 Cd 0.8750 0.6250 0.2500  4 O 2.15
7 O 0.2534 0.2207 0.4513  3 V 2.01-2.09, 1 Cd 2.15
8 O 0.2694 0.8021 0.0487  3 V 2.01-2.09, 1 Cd 2.15
9 O 0.2793 0.2306 0.0328  3 V 2.01-2.09, 1 Cd 2.15
10 O 0.3021 0.7534 0.5328  3 V 2.01-2.09, 1 Cd 2.15
11 O 0.6979 0.2466 0.4672  3 V 2.01-2.09, 1 Cd 2.15
12 O 0.7207 0.7694 0.9672  3 V 2.01-2.09, 1 Cd 2.15
13 O 0.7306 0.1979 0.9513  3 V 2.01-2.09, 1 Cd 2.15
14 O 0.7466 0.7793 0.5487  3 V 2.01-2.09, 1 Cd 2.15

---

Density functional theory data (r²SCAN) for crystalline YbCdO3 at its relaxed geometry.

Properties
ΔH_f (0 K) in meV/atom: -1435
Volume in Å³ per cell: 67.2

a = 4.0660 Å, b = 4.0660 Å, c = 4.0660 Å
α = 90.00°, β = 90.00°, γ = 90.00°
Last column: nearest neighbours and their distance in Å.
Atoms (fractional coordinates):
1 Yb 0.0000 0.0000 0.0000  12 O 2.88
2 Cd 0.5000 0.5000 0.5000  6 O 2.03
3 O 0.0000 0.5000 0.5000  2 Cd 2.03
4 O 0.5000 0.0000 0.5000  2 Cd 2.03
5 O 0.5000 0.5000 0.0000  2 Cd 2.03

---

Density functional theory data (r²SCAN) for crystalline Cd7P10 at its relaxed geometry.

Properties
ΔH_f (0 K) in meV/atom: -144
Volume in Å³ per cell: 744.0

a = 14.0433 Å, b = 11.7911 Å, c = 18.0401 Å
α = 51.08°, β = 40.79°, γ = 88.13°
Last column: nearest neighbours and their distance in Å.
Atoms (fractional coordinates):
1 Cd 0.0010 0.6036 0.9019  4 P 2.60-2.83
2 Cd 0.0301 0.0301 0.9699  4 P 2.61-2.63
3 Cd 0.2127 0.2873 0.9514  4 P 2.59-2.69
4 Cd 0.2801 0.2801 0.2199  4 P 2.61-2.63
5 Cd 0.2873 0.2127 0.5486  4 P 2.59-2.69
6 Cd 0.2986 0.7014 0.0373  4 P 2.59-2.69
7 Cd 0.3481 0.7565 0.2490  4 P 2.60-2.83
8 Cd 0.4496 0.7905 0.4747  2 P 2.53-2.56
9 Cd 0.6036 0.0010 0.4935  4 P 2.60-2.83
10 Cd 0.7014 0.2986 0.9627  4 P 2.59-2.69
11 Cd 0.7565 0.3481 0.6464  4 P 2.60-2.83
12 Cd 0.7753 0.9648 0.8004  2 P 2.53-2.56
13 Cd 0.7905 0.4496 0.2852  2 P 2.53-2.56
14 Cd 0.9648 0.7753 0.4595  2 P 2.53-2.56
15 P 0.0055 0.8341 0.2545  2 P 2.18-2.21
16 P 0.0213 0.8104 0.6063  2 P 2.18-2.19
17 P 0.0254 0.3604 0.7068  2 P 2.15-2.21
18 P 0.1599 0.4981 0.3368  4 Cd 2.53-2.63
19 P 0.2449 0.9132 0.7519  4 Cd 2.53-2.63
20 P 0.2972 0.4988 0.5738  2 P 2.15-2.19
21 P 0.3425 0.5432 0.8896  2 P 2.15-2.21
22 P 0.3442 0.9955 0.4159  2 P 2.18-2.21
23 P 0.3604 0.0254 0.9075  2 P 2.15-2.21
24 P 0.4981 0.1599 0.0051  4 Cd 2.53-2.63
25 P 0.4988 0.2972 0.6303  2 P 2.15-2.19
26 P 0.5432 0.3425 0.2246  2 P 2.15-2.21
27 P 0.6197 0.6762 0.7512  2 P 2.15-2.19
28 P 0.6437 0.6880 0.2287  2 P 2.18-2.19
29 P 0.6762 0.6197 0.9528  2 P 2.15-2.19
30 P 0.6880 0.6437 0.4396  2 P 2.18-2.19
31 P 0.8104 0.0213 0.5620  2 P 2.18-2.19
32 P 0.8341 0.0055 0.9058  2 P 2.18-2.21
33 P 0.9132 0.2449 0.0901  4 Cd 2.53-2.63
34 P 0.9955 0.3442 0.2445  2 P 2.18-2.21

---

Density functional theory data (r²SCAN) for crystalline CdPPd5 at its relaxed geometry.

Properties
ΔH_f (0 K) in meV/atom: -474
Volume in Å³ per cell: 108.9

a = 3.9420 Å, b = 3.9420 Å, c = 7.0100 Å
α = 90.00°, β = 90.00°, γ = 90.00°
Last column: nearest neighbours and their distance in Å.
Atoms (fractional coordinates):
1 Cd 0.0000 0.0000 0.0000  12 Pd 2.79-2.89
2 P 0.5000 0.5000 0.5000  8 Pd 2.42
3 Pd 0.0000 0.5000 0.3007  2 P 2.42
4 Pd 0.0000 0.5000 0.6993  2 P 2.42
5 Pd 0.5000 0.0000 0.3007  2 P 2.42
6 Pd 0.5000 0.0000 0.6993  2 P 2.42
7 Pd 0.5000 0.5000 0.0000  4 Cd 2.79, 8 Pd 2.89

---

Density functional theory data (r²SCAN) for crystalline PrCd3P3 at its relaxed geometry.

Properties
ΔH_f (0 K) in meV/atom: -604
Volume in Å³ per cell: 338.6

a = 4.2979 Å, b = 4.2979 Å, c = 21.1678 Å
α = 90.00°, β = 90.00°, γ = 120.00°
Last column: nearest neighbours and their distance in Å.
Atoms (fractional coordinates):
1 Pr 0.0000 0.0000 0.0000  6 P 2.99
2 Pr 0.0000 0.0000 0.5000  6 P 2.99
3 Cd 0.3333 0.6667 0.1274  4 P 2.60-2.69
4 Cd 0.3333 0.6667 0.3726  4 P 2.60-2.69
5 Cd 0.3333 0.6667 0.7500  3 P 2.48
6 Cd 0.6667 0.3333 0.2500  3 P 2.48
7 Cd 0.6667 0.3333 0.6274  4 P 2.60-2.69
8 Cd 0.6667 0.3333 0.8726  4 P 2.60-2.69
9 P 0.3333 0.6667 0.2500  5 Cd 2.48-2.60
10 P 0.3333 0.6667 0.5787  3 Cd 2.69, 3 Pr 2.99
11 P 0.3333 0.6667 0.9213  3 Cd 2.69, 3 Pr 2.99
12 P 0.6667 0.3333 0.0787  3 Cd 2.69, 3 Pr 2.99
13 P 0.6667 0.3333 0.4213  3 Cd 2.69, 3 Pr 2.99
14 P 0.6667 0.3333 0.7500  5 Cd 2.48-2.60